(1)
The following is a DFT calculation (PBE+U) of a geometry-optimized Cr3Fe2O12 structure.

a b c (Å): 6.6983 8.4909 9.9251
angles (deg): 107.57 104.58 103.10
Atoms (fractional coordinates):
Cr (0.8837, 0.8946, 0.6617)
Cr (0.1163, 0.1054, 0.3383)
Cr (0.2177, 0.6655, 0.2605)
Cr (0.7823, 0.3345, 0.7395)
Cr (0.5972, 0.2570, 0.1345)
Cr (0.4028, 0.7430, 0.8655)
Fe (0.3765, 0.9583, 0.6069)
Fe (0.6235, 0.0417, 0.3931)
Fe (0.0502, 0.2126, 0.0183)
Fe (0.9498, 0.7874, 0.9817)
O (0.0744, 0.0538, 0.1490)
O (0.9256, 0.9462, 0.8510)
O (0.5706, 0.1350, 0.2406)
O (0.4294, 0.8650, 0.7594)
O (0.1800, 0.4529, 0.1821)
O (0.8200, 0.5471, 0.8179)
O (0.9792, 0.2822, 0.8410)
O (0.0208, 0.7178, 0.1590)
O (0.2392, 0.7997, 0.9630)
O (0.7608, 0.2003, 0.0370)
O (0.8924, 0.0027, 0.3612)
O (0.1076, 0.9973, 0.6388)
O (0.5436, 0.2177, 0.7359)
O (0.4564, 0.7823, 0.2641)
O (0.3447, 0.2202, 0.0173)
O (0.6553, 0.7798, 0.9827)
O (0.3331, 0.0501, 0.4293)
O (0.6669, 0.9499, 0.5707)
O (0.2225, 0.7196, 0.4383)
O (0.7775, 0.2804, 0.5617)
O (0.7033, 0.4586, 0.2434)
O (0.2967, 0.5414, 0.7566)
O (0.1659, 0.3101, 0.4130)
O (0.8341, 0.6899, 0.5870)

Computed properties:
The total magnetic moment comes out at 20.01 Bohr magnetons per cell. The uncorrected energy is -6.6969 eV/atom. The calculation puts the volume at 14.471 A^3/atom. The polymorph energy (0 for the lowest one) comes out at 31 meV per atom.

(2)
The following is a DFT calculation (PBE+U) of a geometry-optimized CaV2CuO7 structure.

a b c (Å): 8.9304 10.3240 10.3369
angles (deg): 88.11 90.00 90.00
Atoms (fractional coordinates):
Ca (0.4445, 0.8227, 0.5685)
Ca (0.9356, 0.5000, 0.7500)
Ca (0.4445, 0.1773, 0.9315)
Ca (0.0644, 0.5000, 0.2500)
Ca (0.5555, 0.1773, 0.4315)
Ca (0.5555, 0.8227, 0.0685)
V (0.2029, 0.8353, 0.2881)
V (0.7470, 0.8373, 0.3824)
V (0.2530, 0.8373, 0.8824)
V (0.7971, 0.8353, 0.7881)
V (0.2965, 0.5254, 0.9588)
V (0.7470, 0.1627, 0.1176)
V (0.7035, 0.5254, 0.4588)
V (0.2530, 0.1627, 0.6176)
V (0.2965, 0.4746, 0.5412)
V (0.7035, 0.4746, 0.0412)
V (0.7971, 0.1647, 0.7119)
V (0.2029, 0.1647, 0.2119)
Cu (0.9350, 0.1935, 0.4100)
Cu (0.0650, 0.8065, 0.5900)
Cu (0.4427, 0.5000, 0.2500)
Cu (0.9350, 0.8065, 0.0900)
Cu (0.5573, 0.5000, 0.7500)
Cu (0.0650, 0.1935, 0.9100)
O (0.7833, 0.8072, 0.9561)
O (0.7732, 0.1713, 0.2854)
O (0.8524, 0.0000, 0.7500)
O (0.8764, 0.4904, 0.0995)
O (0.3806, 0.0481, 0.5763)
O (0.9271, 0.7313, 0.7171)
O (0.3563, 0.6934, 0.9401)
O (0.1236, 0.4904, 0.5995)
O (0.7154, 0.5165, 0.8761)
O (0.3806, 0.9519, 0.9237)
O (0.7154, 0.4835, 0.6239)
O (0.4200, 0.4236, 0.8779)
O (0.9102, 0.1496, 0.0332)
O (0.0729, 0.7313, 0.2171)
O (0.6437, 0.3066, 0.0599)
O (0.3563, 0.3066, 0.5599)
O (0.9271, 0.2687, 0.7829)
O (0.6194, 0.9519, 0.4237)
O (0.2167, 0.8072, 0.4561)
O (0.5800, 0.5764, 0.1221)
O (0.3753, 0.1907, 0.2701)
O (0.2846, 0.4835, 0.1239)
O (0.0898, 0.1496, 0.5332)
O (0.2846, 0.5165, 0.3761)
O (0.8764, 0.5096, 0.4005)
O (0.5800, 0.4236, 0.3779)
O (0.1236, 0.5096, 0.9005)
O (0.6247, 0.1907, 0.7701)
O (0.6247, 0.8093, 0.7299)
O (0.0898, 0.8504, 0.9668)
O (0.0729, 0.2687, 0.2829)
O (0.7833, 0.1928, 0.5439)
O (0.1476, 0.0000, 0.2500)
O (0.2268, 0.1713, 0.7854)
O (0.6194, 0.0481, 0.0763)
O (0.9102, 0.8504, 0.4668)
O (0.2167, 0.1928, 0.0439)
O (0.7732, 0.8287, 0.2146)
O (0.4200, 0.5764, 0.6221)
O (0.6437, 0.6934, 0.4401)
O (0.2268, 0.8287, 0.7146)
O (0.3753, 0.8093, 0.2299)

Computed properties:
The total magnetic moment comes out at 6.00 Bohr magnetons per cell. The uncorrected energy is -6.9715 eV/atom. The calculation puts the volume at 14.432 A^3/atom.

(3)
The following is a DFT calculation (PBE+U) of a geometry-optimized Li7Mn5O12 structure.

a b c (Å): 6.0338 8.7061 9.8340
angles (deg): 69.02 94.28 70.17
Atoms (fractional coordinates):
Li (0.8333, 0.3333, 0.3334)
Li (0.8334, 0.8333, 0.8333)
Li (0.0882, 0.8364, 0.3312)
Li (0.0728, 0.3329, 0.8427)
Li (0.5785, 0.8303, 0.3354)
Li (0.5939, 0.3338, 0.8239)
Li (0.7583, 0.0015, 0.5049)
Li (0.7664, 0.5095, 0.9906)
Li (0.9003, 0.1572, 0.6761)
Li (0.9084, 0.6651, 0.1618)
Li (0.4330, 0.1570, 0.6678)
Li (0.4273, 0.6555, 0.1637)
Li (0.2393, 0.0112, 0.5030)
Li (0.2336, 0.5097, 0.9989)
Mn (0.3333, 0.8333, 0.8333)
Mn (0.3333, 0.3333, 0.3333)
Mn (0.9995, 0.9999, 0.9965)
Mn (0.0037, 0.5007, 0.4961)
Mn (0.6630, 0.1661, 0.1705)
Mn (0.6671, 0.6667, 0.6702)
Mn (0.5071, 0.9966, 0.9966)
Mn (0.5096, 0.5004, 0.4955)
Mn (0.1572, 0.1663, 0.1712)
Mn (0.1596, 0.6702, 0.6699)
O (0.2667, 0.9356, 0.1630)
O (0.3009, 0.4404, 0.6418)
O (0.4000, 0.7310, 0.5036)
O (0.3658, 0.2263, 0.0249)
O (0.9633, 0.0956, 0.3101)
O (0.9449, 0.5829, 0.8232)
O (0.7219, 0.0838, 0.8435)
O (0.7034, 0.5710, 0.3565)
O (0.6061, 0.2637, 0.4929)
O (0.6061, 0.7578, 0.9958)
O (0.0606, 0.9089, 0.6709)
O (0.0606, 0.4029, 0.1738)
O (0.7698, 0.9262, 0.1625)
O (0.7735, 0.4265, 0.6584)
O (0.8969, 0.7405, 0.5042)
O (0.8931, 0.2402, 0.0083)
O (0.4289, 0.0969, 0.3338)
O (0.4305, 0.5964, 0.8333)
O (0.2361, 0.0703, 0.8334)
O (0.2377, 0.5698, 0.3328)
O (0.1429, 0.2753, 0.4812)
O (0.1430, 0.7712, 0.9824)
O (0.5236, 0.8955, 0.6843)
O (0.5238, 0.3914, 0.1855)

Computed properties:
The total magnetic moment comes out at 36.00 Bohr magnetons per cell. The uncorrected energy is -6.3897 eV/atom. The calculation puts the volume at 9.214 A^3/atom. The polymorph energy (0 for the lowest one) comes out at 16 meV per atom.

(4)
The following is a DFT calculation (PBE+U) of a geometry-optimized Li5Fe8B8O24 structure.

a b c (Å): 5.2714 9.0738 11.3698
angles (deg): 113.36 102.28 89.59
Atoms (fractional coordinates):
Li (0.6471, 0.3056, 0.5866)
Li (0.3904, 0.0458, 0.0923)
Li (0.0826, 0.4117, 0.8391)
Li (0.3121, 0.6781, 0.3323)
Li (0.5814, 0.9056, 0.8405)
Fe (0.6041, 0.5926, 0.8749)
Fe (0.8987, 0.8919, 0.1249)
Fe (0.1597, 0.4829, 0.6201)
Fe (0.3408, 0.0355, 0.3709)
Fe (0.6528, 0.9738, 0.6189)
Fe (0.8420, 0.5085, 0.3656)
Fe (0.0940, 0.0923, 0.8684)
Fe (0.3985, 0.3999, 0.1151)
B (0.3607, 0.3644, 0.3748)
B (0.1090, 0.7686, 0.8785)
B (0.8437, 0.8426, 0.3690)
B (0.5960, 0.2618, 0.8646)
B (0.1439, 0.1463, 0.6240)
B (0.3966, 0.7410, 0.1256)
B (0.6560, 0.6413, 0.6216)
B (0.9039, 0.2208, 0.1248)
O (0.8705, 0.7907, 0.9178)
O (0.5530, 0.5338, 0.6623)
O (0.7668, 0.0842, 0.1156)
O (0.4982, 0.2416, 0.3880)
O (0.1227, 0.3884, 0.4094)
O (0.1985, 0.6168, 0.8352)
O (0.7407, 0.3846, 0.8633)
O (0.9486, 0.9453, 0.3235)
O (0.2817, 0.8903, 0.1565)
O (0.3856, 0.1186, 0.5873)
O (0.0282, 0.2850, 0.6358)
O (0.6218, 0.7301, 0.0791)
O (0.3587, 0.2853, 0.9034)
O (0.6125, 0.8766, 0.4167)
O (0.6860, 0.1054, 0.8241)
O (0.0239, 0.0310, 0.6522)
O (0.2902, 0.6185, 0.1426)
O (0.7935, 0.3664, 0.1695)
O (0.8600, 0.5991, 0.5600)
O (0.5587, 0.7900, 0.6466)
O (0.9650, 0.7074, 0.3654)
O (0.2550, 0.9012, 0.8884)
O (0.4579, 0.4759, 0.3339)
O (0.1380, 0.2070, 0.0849)

Computed properties:
The total magnetic moment comes out at 35.00 Bohr magnetons per cell. The uncorrected energy is -7.0647 eV/atom. The calculation puts the volume at 10.800 A^3/atom. The polymorph energy (0 for the lowest one) comes out at 3 meV per atom.

(5)
The following is a DFT calculation (PBE+U) of a geometry-optimized Y4Fe13Si2Sb2O28 structure.

a b c (Å): 5.7027 9.5461 12.3339
angles (deg): 87.59 76.68 79.80
Atoms (fractional coordinates):
Y (0.0725, 0.6564, 0.4114)
Y (0.5147, 0.3458, 0.4117)
Y (0.9263, 0.3469, 0.5884)
Y (0.4845, 0.6568, 0.5878)
Fe (0.9219, 0.6468, 0.7373)
Fe (0.6642, 0.3164, 0.1257)
Fe (0.3433, 0.3542, 0.7373)
Fe (0.0790, 0.3532, 0.2629)
Fe (0.3360, 0.6828, 0.8741)
Fe (0.2874, 0.0010, 0.4245)
Fe (0.2087, 0.6824, 0.1262)
Fe (0.9997, 0.0003, 0.0002)
Fe (0.4272, 0.9987, 0.1491)
Fe (0.7911, 0.3167, 0.8734)
Fe (0.6581, 0.6459, 0.2621)
Fe (0.5761, 0.9992, 0.8512)
Fe (0.7124, 0.0009, 0.5769)
Si (0.2437, 0.2802, 0.0000)
Si (0.7570, 0.7181, 0.9998)
Sb (0.8553, 0.9999, 0.2864)
Sb (0.1426, 0.0004, 0.7140)
O (0.7144, 0.4092, 0.2561)
O (0.1269, 0.3910, 0.4195)
O (0.9555, 0.3370, 0.9996)
O (0.2953, 0.1041, 0.0000)
O (0.8728, 0.6104, 0.5801)
O (0.2873, 0.5906, 0.7429)
O (0.0096, 0.1119, 0.5874)
O (0.9770, 0.8932, 0.4197)
O (0.7068, 0.8942, 0.9998)
O (0.1207, 0.8962, 0.1607)
O (0.3137, 0.3373, 0.1108)
O (0.0279, 0.5893, 0.2569)
O (0.3965, 0.8932, 0.5815)
O (0.7249, 0.1020, 0.1573)
O (0.5745, 0.6614, 0.1102)
O (0.0454, 0.6610, 0.9998)
O (0.2807, 0.8970, 0.8406)
O (0.8819, 0.1022, 0.8425)
O (0.5951, 0.1104, 0.4127)
O (0.1140, 0.1192, 0.2937)
O (0.8874, 0.8790, 0.7082)
O (0.4254, 0.3380, 0.8897)
O (0.4109, 0.1186, 0.7068)
O (0.5459, 0.3914, 0.5805)
O (0.6865, 0.6611, 0.8891)
O (0.5957, 0.8778, 0.2909)
O (0.9727, 0.4107, 0.7435)
O (0.4528, 0.6097, 0.4192)

Computed properties:
The total magnetic moment comes out at 52.00 Bohr magnetons per cell. The uncorrected energy is -7.2296 eV/atom. The calculation puts the volume at 13.123 A^3/atom. The polymorph energy (0 for the lowest one) comes out at 0 meV per atom.

(6)
The following is a DFT calculation (PBE+U) of a geometry-optimized Li2TiFeO4 structure.

a b c (Å): 6.0007 9.0826 6.0031
angles (deg): 70.70 90.00 70.71
Atoms (fractional coordinates):
Li (0.5000, 0.0000, 0.5000)
Li (0.0000, 0.0000, 0.0000)
Li (0.2500, 0.5000, 0.7500)
Li (0.7500, 0.5000, 0.2500)
Li (0.7500, 0.5000, 0.7500)
Li (0.2500, 0.5000, 0.2500)
Li (0.5000, 0.0000, 0.0000)
Li (0.0000, 0.0000, 0.5000)
Ti (0.6250, 0.2500, 0.6250)
Ti (0.1250, 0.2500, 0.1250)
Ti (0.3750, 0.7500, 0.8750)
Ti (0.8750, 0.7500, 0.3750)
Fe (0.6250, 0.2500, 0.1250)
Fe (0.3750, 0.7500, 0.3750)
Fe (0.1250, 0.2500, 0.6250)
Fe (0.8750, 0.7500, 0.8750)
O (0.5076, 0.4848, 0.5076)
O (0.0076, 0.4848, 0.0076)
O (0.2576, 0.9848, 0.7576)
O (0.7576, 0.9848, 0.2576)
O (0.7424, 0.0152, 0.7424)
O (0.2424, 0.0152, 0.2424)
O (0.4924, 0.5152, 0.9924)
O (0.9924, 0.5152, 0.4924)
O (0.8750, 0.2500, 0.3750)
O (0.3750, 0.2500, 0.8750)
O (0.6250, 0.7500, 0.6250)
O (0.1250, 0.7500, 0.1250)
O (0.8750, 0.2500, 0.8750)
O (0.3750, 0.2500, 0.3750)
O (0.6250, 0.7500, 0.1250)
O (0.1250, 0.7500, 0.6250)

Computed properties:
The total magnetic moment comes out at 0.00 Bohr magnetons per cell. The uncorrected energy is -6.9004 eV/atom. The calculation puts the volume at 9.040 A^3/atom. The polymorph energy (0 for the lowest one) comes out at 41 meV per atom.

(7)
The following is a DFT calculation (PBE+U) of a geometry-optimized Li7Mn5O12 structure.

a b c (Å): 6.4782 9.3524 7.8085
angles (deg): 71.60 89.42 81.76
Atoms (fractional coordinates):
Li (0.7496, 0.2658, 0.5037)
Li (0.2505, 0.7343, 0.4965)
Li (0.0001, 0.5000, 0.4999)
Li (0.5000, 0.0000, 0.5000)
Li (0.2531, 0.2448, 0.0003)
Li (0.7468, 0.7550, 0.9997)
Li (0.1622, 0.6676, 0.1593)
Li (0.6572, 0.1655, 0.1570)
Li (0.8375, 0.3322, 0.8405)
Li (0.3427, 0.8344, 0.8431)
Li (0.9175, 0.4263, 0.1606)
Li (0.4208, 0.9374, 0.1698)
Li (0.0825, 0.5728, 0.8393)
Li (0.5790, 0.0625, 0.8298)
Mn (0.5000, 0.5001, 0.9998)
Mn (0.9999, 0.0000, 0.0001)
Mn (0.4172, 0.4157, 0.6704)
Mn (0.9135, 0.9168, 0.6729)
Mn (0.5830, 0.5842, 0.3299)
Mn (0.0862, 0.0835, 0.3272)
Mn (0.1657, 0.1723, 0.6682)
Mn (0.6673, 0.6721, 0.6739)
Mn (0.8342, 0.8278, 0.3318)
Mn (0.3332, 0.3281, 0.3259)
O (0.2233, 0.4581, 0.0886)
O (0.7274, 0.9551, 0.0941)
O (0.7767, 0.5421, 0.9113)
O (0.2726, 0.0449, 0.9058)
O (0.3099, 0.5388, 0.4259)
O (0.8157, 0.0134, 0.4140)
O (0.6904, 0.4609, 0.5744)
O (0.1840, 0.9868, 0.5860)
O (0.8920, 0.1302, 0.7609)
O (0.3873, 0.6274, 0.7624)
O (0.1079, 0.8698, 0.2393)
O (0.6130, 0.3728, 0.2373)
O (0.9679, 0.1767, 0.0848)
O (0.4685, 0.6772, 0.0852)
O (0.0319, 0.8235, 0.9153)
O (0.5314, 0.3228, 0.9149)
O (0.0526, 0.2912, 0.4233)
O (0.5611, 0.7918, 0.4247)
O (0.9478, 0.7090, 0.5768)
O (0.4390, 0.2082, 0.5752)
O (0.1422, 0.3552, 0.7374)
O (0.6405, 0.8795, 0.7458)
O (0.8577, 0.6449, 0.2628)
O (0.3593, 0.1204, 0.2541)

Computed properties:
The total magnetic moment comes out at 36.00 Bohr magnetons per cell. The uncorrected energy is -6.3871 eV/atom. The calculation puts the volume at 9.249 A^3/atom. The polymorph energy (0 for the lowest one) comes out at 18 meV per atom.

(8)
The following is a DFT calculation (PBE+U) of a geometry-optimized SrMg6CrO8 structure.

a b c (Å): 8.6353 4.5402 4.5402
angles (deg): 90.00 90.00 90.00
Atoms (fractional coordinates):
Sr (0.0000, 0.0000, 0.0000)
Mg (0.5000, 0.0000, 0.0000)
Mg (0.5000, 0.5000, 0.5000)
Mg (0.2593, 0.0000, 0.5000)
Mg (0.7407, 0.0000, 0.5000)
Mg (0.2593, 0.5000, 0.0000)
Mg (0.7407, 0.5000, 0.0000)
Cr (0.0000, 0.5000, 0.5000)
O (0.2736, 0.0000, 0.0000)
O (0.7264, 0.0000, 0.0000)
O (0.2518, 0.5000, 0.5000)
O (0.7482, 0.5000, 0.5000)
O (0.0000, 0.0000, 0.5000)
O (0.5000, 0.0000, 0.5000)
O (0.0000, 0.5000, 0.0000)
O (0.5000, 0.5000, 0.0000)

Computed properties:
The total magnetic moment comes out at 4.00 Bohr magnetons per cell. The uncorrected energy is -6.0315 eV/atom. The calculation puts the volume at 11.125 A^3/atom. The polymorph energy (0 for the lowest one) comes out at 0 meV per atom.

(9)
The following is a DFT calculation (PBE+U) of a geometry-optimized Fe3B7ClO13 structure.

a b c (Å): 8.7072 8.7072 8.7072
angles (deg): 60.10 60.10 60.10
Atoms (fractional coordinates):
Fe (0.5328, 0.9731, 0.9742)
Fe (0.4731, 0.0328, 0.4742)
Fe (0.4742, 0.4731, 0.0328)
Fe (0.9731, 0.9742, 0.5328)
Fe (0.9742, 0.5328, 0.9731)
Fe (0.0328, 0.4742, 0.4731)
B (0.5735, 0.5708, 0.2681)
B (0.2483, 0.7545, 0.2453)
B (0.1030, 0.1030, 0.1030)
B (0.2453, 0.2483, 0.7545)
B (0.6030, 0.6030, 0.6030)
B (0.0708, 0.0735, 0.7681)
B (0.7681, 0.0708, 0.0735)
B (0.7453, 0.2545, 0.7483)
B (0.7483, 0.7453, 0.2545)
B (0.5708, 0.2681, 0.5735)
B (0.2681, 0.5735, 0.5708)
B (0.0735, 0.7681, 0.0708)
B (0.7545, 0.2453, 0.2483)
B (0.2545, 0.7483, 0.7453)
Cl (0.7675, 0.7675, 0.7675)
Cl (0.2675, 0.2675, 0.2675)
O (0.6033, 0.7428, 0.2175)
O (0.9353, 0.6871, 0.1153)
O (0.4864, 0.4864, 0.4864)
O (0.7496, 0.4329, 0.2026)
O (0.2428, 0.1033, 0.7175)
O (0.7428, 0.2175, 0.6033)
O (0.4465, 0.7631, 0.6080)
O (0.6080, 0.4465, 0.7631)
O (0.1080, 0.2631, 0.9465)
O (0.1871, 0.4353, 0.6153)
O (0.4353, 0.6153, 0.1871)
O (0.1033, 0.7175, 0.2428)
O (0.4329, 0.2026, 0.7496)
O (0.7175, 0.2428, 0.1033)
O (0.2026, 0.7496, 0.4329)
O (0.1153, 0.9353, 0.6871)
O (0.6153, 0.1871, 0.4353)
O (0.9465, 0.1080, 0.2631)
O (0.9864, 0.9864, 0.9864)
O (0.7026, 0.9329, 0.2496)
O (0.2175, 0.6033, 0.7428)
O (0.2496, 0.7026, 0.9329)
O (0.7631, 0.6080, 0.4465)
O (0.2631, 0.9465, 0.1080)
O (0.6871, 0.1153, 0.9353)
O (0.9329, 0.2496, 0.7026)

Computed properties:
The total magnetic moment comes out at 24.00 Bohr magnetons per cell. The uncorrected energy is -7.6081 eV/atom. The calculation puts the volume at 9.746 A^3/atom.